A relaxed Na3YScP3O12 crystal. Source: the Materials Project, functional GGA-PBE.

abc: 9.2153 9.1972 22.9188
angles: 90.00 90.00 119.97
Fractional coordinates of all 120 atoms:
Na (0.0010, 0.0010, 0.5015)
Na (0.9987, 0.9985, 0.0018)
Na (0.6342, 0.3173, 0.8324)
Na (0.6834, 0.3665, 0.3343)
Na (0.3311, 0.6663, 0.1701)
Na (0.3336, 0.6669, 0.6665)
Na (0.6377, 0.0029, 0.2490)
Na (0.3607, 0.3588, 0.2489)
Na (0.6409, 0.6361, 0.7465)
Na (0.9938, 0.3605, 0.7459)
Na (0.0329, 0.6999, 0.5843)
Na (0.6673, 0.9706, 0.5843)
Na (0.3020, 0.9709, 0.0870)
Na (0.0258, 0.3298, 0.0874)
Na (0.9708, 0.6649, 0.9179)
Na (0.6957, 0.0287, 0.9171)
Na (0.9713, 0.3039, 0.4166)
Na (0.3364, 0.0333, 0.4176)
Y (0.9902, 0.9862, 0.3484)
Y (0.0144, 0.0102, 0.8479)
Y (0.6603, 0.3397, 0.9862)
Y (0.3426, 0.6621, 0.0195)
Y (0.3378, 0.6577, 0.5184)
Y (0.3335, 0.6704, 0.8140)
Sc (0.0104, 0.0067, 0.6474)
Sc (0.9931, 0.9896, 0.1525)
Sc (0.6583, 0.3276, 0.6822)
Sc (0.6721, 0.3415, 0.1842)
Sc (0.6623, 0.3393, 0.4827)
Sc (0.3297, 0.6653, 0.3165)
P (0.3037, 0.0001, 0.2492)
P (0.6930, 0.6966, 0.2491)
P (0.0005, 0.3008, 0.2490)
P (0.3025, 0.2996, 0.7458)
P (0.9936, 0.6965, 0.7458)
P (0.7075, 0.0045, 0.7456)
P (0.9524, 0.3276, 0.5837)
P (0.3705, 0.0425, 0.5809)
P (0.6757, 0.6322, 0.5864)
P (0.9659, 0.6373, 0.0837)
P (0.6731, 0.0398, 0.0868)
P (0.3577, 0.3224, 0.0907)
P (0.6400, 0.6700, 0.9116)
P (0.0281, 0.3641, 0.9177)
P (0.3339, 0.9656, 0.9211)
P (0.6297, 0.9702, 0.4172)
P (0.3371, 0.3681, 0.4123)
P (0.0373, 0.6608, 0.4199)
O (0.2253, 0.0294, 0.3045)
O (0.7928, 0.7685, 0.3054)
O (0.9681, 0.1927, 0.3047)
O (0.2298, 0.2078, 0.8032)
O (0.9768, 0.7780, 0.8027)
O (0.8084, 0.0290, 0.8024)
O (0.8030, 0.9876, 0.6928)
O (0.1860, 0.2008, 0.6947)
O (0.0102, 0.8071, 0.6924)
O (0.7875, 0.8162, 0.1978)
O (0.0261, 0.2097, 0.1962)
O (0.1927, 0.9789, 0.1953)
O (0.8651, 0.3467, 0.6388)
O (0.4850, 0.1394, 0.6330)
O (0.6603, 0.5335, 0.6429)
O (0.8594, 0.5134, 0.1326)
O (0.6529, 0.1349, 0.1392)
O (0.4643, 0.3394, 0.1451)
O (0.4426, 0.3021, 0.0358)
O (0.8788, 0.5701, 0.0244)
O (0.6975, 0.1408, 0.0298)
O (0.4510, 0.1390, 0.5235)
O (0.6876, 0.5344, 0.5330)
O (0.8454, 0.3081, 0.5284)
O (0.5438, 0.6868, 0.9640)
O (0.1291, 0.4521, 0.9731)
O (0.3183, 0.8688, 0.9780)
O (0.5499, 0.8708, 0.4737)
O (0.3075, 0.4526, 0.4652)
O (0.1340, 0.6846, 0.4771)
O (0.1351, 0.6384, 0.3683)
O (0.5195, 0.8746, 0.3631)
O (0.3536, 0.4699, 0.3560)
O (0.1175, 0.4671, 0.8621)
O (0.3528, 0.8711, 0.8683)
O (0.5461, 0.6555, 0.8540)
O (0.0263, 0.8217, 0.4125)
O (0.8117, 0.0026, 0.4131)
O (0.1808, 0.1898, 0.4098)
O (0.9998, 0.1835, 0.9157)
O (0.1712, 0.9734, 0.9160)
O (0.8137, 0.8295, 0.9125)
O (0.9665, 0.1659, 0.5874)
O (0.1898, 0.0135, 0.5864)
O (0.8384, 0.8082, 0.5867)
O (0.9942, 0.8165, 0.0921)
O (0.8327, 0.0253, 0.0934)
O (0.1819, 0.1632, 0.0935)
O (0.6890, 0.1629, 0.7404)
O (0.4830, 0.3291, 0.7405)
O (0.8337, 0.5202, 0.7423)
O (0.6635, 0.5158, 0.2414)
O (0.8424, 0.3186, 0.2411)
O (0.4825, 0.1582, 0.2430)
O (0.6641, 0.5154, 0.9166)
O (0.8536, 0.3512, 0.9191)
O (0.4944, 0.1394, 0.9210)
O (0.6398, 0.1455, 0.4195)
O (0.4949, 0.3493, 0.4192)
O (0.8633, 0.4986, 0.4220)
O (0.3317, 0.4770, 0.0873)
O (0.1402, 0.6484, 0.0849)
O (0.5098, 0.8668, 0.0847)
O (0.3562, 0.8659, 0.5811)
O (0.5251, 0.6636, 0.5835)
O (0.1269, 0.4897, 0.5813)
O (0.3276, 0.8438, 0.2552)
O (0.5177, 0.6852, 0.2532)
O (0.1640, 0.4735, 0.2550)
O (0.3142, 0.4749, 0.7463)
O (0.1470, 0.6681, 0.7474)
O (0.5352, 0.8403, 0.7476)

Energy relative to the elements = -3.076 eV/atom
Space group = P1 (1)